Entry 1:
Compound: UNi2Sn
Source: the Materials Project database
Functional: PBE
Structure: relaxed

Summary:
Total DFT energy (no corrections)   -110.83 eV for the cell shown

abc: 6.4553 6.4553 6.4553
angles: 90.00 90.00 90.00
Closest atoms and distances in Å follow each position.
Space group Fm-3m (No. 225)
Inequivalent atoms, fractional coordinates:
U  0.0000  0.0000  0.0000 x4  8 Ni 2.80
Ni  0.2500  0.2500  0.2500 x8  4 Sn 2.80, 4 U 2.80
Sn  0.0000  0.0000  0.5000 x4  8 Ni 2.80

=====

Entry 2:
Compound: U3Ni3Sn4
Source: the Materials Project database
Functional: PBE
Structure: relaxed

Summary:
Total DFT energy (no corrections)   -277.28 eV for the cell shown

abc: 9.3414 9.3414 9.3414
angles: 90.00 90.00 90.00
Closest atoms and distances in Å follow each position.
Space group I-43d (No. 220)
Inequivalent atoms, fractional coordinates:
U  0.0000  0.2500  0.3750 x12  4 Ni 2.86
Ni  0.0000  0.2500  0.8750 x12  4 Sn 2.62, 4 U 2.86
Sn  0.0844  0.0844  0.0844 x16  3 Ni 2.62

=====

Entry 3:
Compound: UNiSn
Source: the Materials Project database
Functional: PBE
Structure: relaxed

Summary:
Total DFT energy (no corrections)   -85.49 eV for the cell shown

abc: 6.3439 6.3439 6.3439
angles: 90.00 90.00 90.00
Closest atoms and distances in Å follow each position.
Space group F-43m (No. 216)
Inequivalent atoms, fractional coordinates:
U  0.0000  0.0000  0.0000 x4  4 Ni 2.75
Ni  0.2500  0.2500  0.7500 x4  4 U 2.75, 4 Sn 2.75
Sn  0.0000  0.0000  0.5000 x4  4 Ni 2.75

=====

Entry 4:
Compound: UNiSn
Source: the Materials Project database
Functional: PBE
Structure: relaxed

Summary:
Total DFT energy (no corrections)   -87.03 eV for the cell shown

abc: 11.0930 4.2028 5.8407
angles: 90.00 121.59 90.00
Closest atoms and distances in Å follow each position.
Space group C2/m (No. 12)
Inequivalent atoms, fractional coordinates:
U  0.0027  0.0000  0.2919 x4  1 U 2.46
Ni  0.1296  0.5000  0.1356 x4  1 Ni 2.45, 2 Sn 2.60
Sn  0.2087  0.5000  0.7125 x4  2 Ni 2.60